[1]
LiTm2Co, optimized geometry, DFT PBE; DFT formation energy = -0.12 eV per atom
1.0
6.7759 0.0000 0.0000
0.0000 6.7759 0.0000
0.0000 0.0000 6.7759
Li Tm Co
4 8 4
Direct
0.0000 0.0000 0.0000 Li
0.0000 0.5000 0.5000 Li
0.5000 0.0000 0.5000 Li
0.5000 0.5000 0.0000 Li
0.2500 0.2500 0.2500 Tm
0.2500 0.2500 0.7500 Tm
0.2500 0.7500 0.2500 Tm
0.2500 0.7500 0.7500 Tm
0.7500 0.2500 0.2500 Tm
0.7500 0.2500 0.7500 Tm
0.7500 0.7500 0.2500 Tm
0.7500 0.7500 0.7500 Tm
0.0000 0.0000 0.5000 Co
0.0000 0.5000 0.0000 Co
0.5000 0.0000 0.0000 Co
0.5000 0.5000 0.5000 Co

=====

[2]
Li6La3Sb2O12, optimized geometry, DFT PBE; corrected total energy (MP2020 scheme) = -619.069 eV for the cell shown; DFT formation energy = -2.65 eV per atom
1.0
-6.5321 6.5321 6.5321
6.5321 -6.5321 6.5321
6.5321 6.5321 -6.5321
Li La Sb O
24 12 8 48
Direct
0.0392 0.4304 0.2519 Li
0.0696 0.1089 0.8215 Li
0.1089 0.8215 0.0696 Li
0.1785 0.9304 0.8911 Li
0.2127 0.7519 0.3215 Li
0.2481 0.6785 0.7873 Li
0.2519 0.0392 0.4304 Li
0.2873 0.6089 0.5392 Li
0.3215 0.2127 0.7519 Li
0.3911 0.4608 0.7127 Li
0.4304 0.2519 0.0392 Li
0.4608 0.7127 0.3911 Li
0.5392 0.2873 0.6089 Li
0.5696 0.7481 0.9608 Li
0.6089 0.5392 0.2873 Li
0.6785 0.7873 0.2481 Li
0.7127 0.3911 0.4608 Li
0.7481 0.9608 0.5696 Li
0.7519 0.3215 0.2127 Li
0.7873 0.2481 0.6785 Li
0.8215 0.0696 0.1089 Li
0.8911 0.1785 0.9304 Li
0.9304 0.8911 0.1785 Li
0.9608 0.5696 0.7481 Li
0.1197 0.3697 0.7500 La
0.1303 0.2500 0.3803 La
0.2500 0.3803 0.1303 La
0.2500 0.8803 0.6303 La
0.3697 0.7500 0.1197 La
0.3803 0.1303 0.2500 La
0.6197 0.8697 0.7500 La
0.6303 0.2500 0.8803 La
0.7500 0.1197 0.3697 La
0.7500 0.6197 0.8697 La
0.8697 0.7500 0.6197 La
0.8803 0.6303 0.2500 La
0.0000 0.0000 0.0000 Sb
0.0000 0.0000 0.5000 Sb
0.0000 0.5000 0.0000 Sb
0.0000 0.5000 0.5000 Sb
0.5000 0.0000 0.0000 Sb
0.5000 0.0000 0.5000 Sb
0.5000 0.5000 0.0000 Sb
0.5000 0.5000 0.5000 Sb
0.0147 0.1906 0.1158 O
0.0306 0.3179 0.9125 O
0.0748 0.6906 0.6759 O
0.0875 0.9694 0.6821 O
0.0946 0.8819 0.4125 O
0.1011 0.6158 0.4252 O
0.1158 0.0147 0.1906 O
0.1181 0.5875 0.9054 O
0.1759 0.4853 0.6011 O
0.1821 0.2127 0.5946 O
0.1906 0.1158 0.0147 O
0.2127 0.5946 0.1821 O
0.2873 0.4694 0.3819 O
0.3094 0.3241 0.9252 O
0.3179 0.9125 0.0306 O
0.3241 0.9252 0.3094 O
0.3819 0.2873 0.4694 O
0.3842 0.5748 0.8989 O
0.3989 0.8241 0.5147 O
0.4054 0.8179 0.7873 O
0.4125 0.0946 0.8819 O
0.4252 0.1011 0.6158 O
0.4694 0.3819 0.2873 O
0.4853 0.6011 0.1759 O
0.5147 0.3989 0.8241 O
0.5306 0.6181 0.7127 O
0.5748 0.8989 0.3842 O
0.5875 0.9054 0.1181 O
0.5946 0.1821 0.2127 O
0.6011 0.1759 0.4853 O
0.6158 0.4252 0.1011 O
0.6181 0.7127 0.5306 O
0.6759 0.0748 0.6906 O
0.6821 0.0875 0.9694 O
0.6906 0.6759 0.0748 O
0.7127 0.5306 0.6181 O
0.7873 0.4054 0.8179 O
0.8094 0.8842 0.9853 O
0.8179 0.7873 0.4054 O
0.8241 0.5147 0.3989 O
0.8819 0.4125 0.0946 O
0.8842 0.9853 0.8094 O
0.8989 0.3842 0.5748 O
0.9054 0.1181 0.5875 O
0.9125 0.0306 0.3179 O
0.9252 0.3094 0.3241 O
0.9694 0.6821 0.0875 O
0.9853 0.8094 0.8842 O